[1]
First-principles (meta-GGA r2SCAN) data for Li2CeP2 after structural relaxation, as listed in the Materials Project database.

Values from the calculation:
As for the crystal system: trigonal. For the formation energy, the calculation gives -553 kJ/mol of formula units.

Cell and atoms, written as CIF:
```
data_Li2CeP2
_chemical_formula_sum 'Li2 Ce1 P2'
_symmetry_space_group_name_H-M 'P -3 m 1'
_symmetry_Int_Tables_number 164
_symmetry_space_group_name_Hall '-P 3 2"'
_cell_length_a 4.1542
_cell_length_b 4.1542
_cell_length_c 6.6445
_cell_angle_alpha 90.00
_cell_angle_beta 90.00
_cell_angle_gamma 120.00
loop_
_atom_site_label
_atom_site_fract_x
_atom_site_fract_y
_atom_site_fract_z
_atom_site_occupancy
Li1 0.3333 0.6667 0.1215 1
Ce1 0.0000 0.0000 0.5000 1
P1 0.3333 0.6667 0.7312 1
```



[2]
First-principles (meta-GGA r2SCAN) data for LiCeSi2 after structural relaxation, as listed in the Materials Project database.

Values from the calculation:
As for the crystal system: orthorhombic. For the formation energy, the calculation gives -243 kJ/mol of formula units.

Cell and atoms, written as CIF:
```
data_LiCeSi2
_chemical_formula_sum 'Li4 Ce4 Si8'
_symmetry_space_group_name_H-M 'P n m a'
_symmetry_Int_Tables_number 62
_symmetry_space_group_name_Hall '-P 2ac 2n'
_cell_length_a 7.7578
_cell_length_b 3.8886
_cell_length_c 10.5618
_cell_angle_alpha 90.00
_cell_angle_beta 90.00
_cell_angle_gamma 90.00
loop_
_atom_site_label
_atom_site_fract_x
_atom_site_fract_y
_atom_site_fract_z
_atom_site_occupancy
Li1 0.0047 0.2500 0.1092 1
Ce1 0.1377 0.7500 0.3661 1
Si1 0.1654 0.7500 0.6792 1
Si2 0.2302 0.7500 0.0732 1
```



[3]
First-principles (meta-GGA r2SCAN) data for LiCeTl2 after structural relaxation, as listed in the Materials Project database.

Values from the calculation:
As for the crystal system: cubic. For the formation energy, the calculation gives -158 kJ/mol of formula units.

Cell and atoms, written as CIF:
```
data_LiCeTl2
_chemical_formula_sum 'Li4 Ce4 Tl8'
_symmetry_space_group_name_H-M 'F m -3 m'
_symmetry_Int_Tables_number 225
_symmetry_space_group_name_Hall '-F 4 2 3'
_cell_length_a 7.4478
_cell_length_b 7.4478
_cell_length_c 7.4478
_cell_angle_alpha 90.00
_cell_angle_beta 90.00
_cell_angle_gamma 90.00
loop_
_atom_site_label
_atom_site_fract_x
_atom_site_fract_y
_atom_site_fract_z
_atom_site_occupancy
Li1 0.0000 0.0000 0.0000 1
Ce1 0.0000 0.0000 0.5000 1
Tl1 0.2500 0.2500 0.2500 1
```



[4]
First-principles (meta-GGA r2SCAN) data for CeLuS3 after structural relaxation, as listed in the Materials Project database.

Values from the calculation:
As for the crystal system: orthorhombic. For the formation energy, the calculation gives -1151 kJ/mol of formula units.

Cell and atoms, written as CIF:
```
data_CeLuS3
_chemical_formula_sum 'Ce4 Lu4 S12'
_symmetry_space_group_name_H-M 'C m c m'
_symmetry_Int_Tables_number 63
_symmetry_space_group_name_Hall '-C 2c 2'
_cell_length_a 3.8604
_cell_length_b 12.6114
_cell_length_c 9.4632
_cell_angle_alpha 90.00
_cell_angle_beta 90.00
_cell_angle_gamma 90.00
loop_
_atom_site_label
_atom_site_fract_x
_atom_site_fract_y
_atom_site_fract_z
_atom_site_occupancy
Ce1 0.0000 0.2473 0.2500 1
Lu1 0.0000 0.5000 0.0000 1
S1 0.0000 0.1405 0.5628 1
S2 0.0000 0.4148 0.7500 1
```



[5]
First-principles (meta-GGA r2SCAN) data for CeMg15 after structural relaxation, as listed in the Materials Project database.

Values from the calculation:
As for the crystal system: hexagonal. For the formation energy, the calculation gives 71 kJ/mol of formula units.

Cell and atoms, written as CIF:
```
data_CeMg15
_chemical_formula_sum 'Ce1 Mg15'
_symmetry_space_group_name_H-M 'P -6 m 2'
_symmetry_Int_Tables_number 187
_symmetry_space_group_name_Hall 'P -6 2'
_cell_length_a 6.5306
_cell_length_b 6.5306
_cell_length_c 10.2523
_cell_angle_alpha 90.00
_cell_angle_beta 90.00
_cell_angle_gamma 120.00
loop_
_atom_site_label
_atom_site_fract_x
_atom_site_fract_y
_atom_site_fract_z
_atom_site_occupancy
Ce1 0.0000 0.0000 0.0000 1
Mg1 0.0000 0.0000 0.5000 1
Mg2 0.0137 0.5069 0.0000 1
Mg3 0.1672 0.3345 0.2563 1
Mg4 0.5025 0.0051 0.5000 1
Mg5 0.6667 0.3333 0.2389 1
```



[6]
First-principles (meta-GGA r2SCAN) data for CeMg5 after structural relaxation, as listed in the Materials Project database.

Values from the calculation:
As for the crystal system: hexagonal. For the formation energy, the calculation gives -7 kJ/mol of formula units.

Cell and atoms, written as CIF:
```
data_CeMg5
_chemical_formula_sum 'Ce1 Mg5'
_symmetry_space_group_name_H-M 'P -6 m 2'
_symmetry_Int_Tables_number 187
_symmetry_space_group_name_Hall 'P -6 2'
_cell_length_a 3.1520
_cell_length_b 3.1520
_cell_length_c 16.1789
_cell_angle_alpha 90.00
_cell_angle_beta 90.00
_cell_angle_gamma 120.00
loop_
_atom_site_label
_atom_site_fract_x
_atom_site_fract_y
_atom_site_fract_z
_atom_site_occupancy
Ce1 0.0000 0.0000 0.0000 1
Mg1 0.0000 0.0000 0.3402 1
Mg2 0.3333 0.6667 0.1816 1
Mg3 0.3333 0.6667 0.5000 1
```



[7]
First-principles (meta-GGA r2SCAN) data for Ce2Mg after structural relaxation, as listed in the Materials Project database.

Values from the calculation:
As for the crystal system: monoclinic. The relative energy among the computed polymorphs is 16.3 meV/atom. For the formation energy, the calculation gives 7 kJ/mol of formula units.

Cell and atoms, written as CIF:
```
data_Ce2Mg
_chemical_formula_sum 'Ce8 Mg4'
_symmetry_space_group_name_H-M 'C 1 2/m 1'
_symmetry_Int_Tables_number 12
_symmetry_space_group_name_Hall '-C 2y'
_cell_length_a 10.4221
_cell_length_b 3.1913
_cell_length_c 9.6118
_cell_angle_alpha 90.00
_cell_angle_beta 111.76
_cell_angle_gamma 90.00
loop_
_atom_site_label
_atom_site_fract_x
_atom_site_fract_y
_atom_site_fract_z
_atom_site_occupancy
Ce1 0.0173 0.0000 0.2838 1
Ce2 0.1882 0.5000 0.6112 1
Mg1 0.1568 0.5000 0.0582 1
```



[8]
First-principles (meta-GGA r2SCAN) data for Ce2Mg after structural relaxation, as listed in the Materials Project database.

Values from the calculation:
As for the crystal system: orthorhombic. The relative energy among the computed polymorphs is 14.0 meV/atom. For the formation energy, the calculation gives 7 kJ/mol of formula units.

Cell and atoms, written as CIF:
```
data_Ce2Mg
_chemical_formula_sum 'Ce8 Mg4'
_symmetry_space_group_name_H-M 'C m c m'
_symmetry_Int_Tables_number 63
_symmetry_space_group_name_Hall '-C 2c 2'
_cell_length_a 3.1021
_cell_length_b 18.4262
_cell_length_c 5.2166
_cell_angle_alpha 90.00
_cell_angle_beta 90.00
_cell_angle_gamma 90.00
loop_
_atom_site_label
_atom_site_fract_x
_atom_site_fract_y
_atom_site_fract_z
_atom_site_occupancy
Ce1 0.0000 0.1336 0.2500 1
Ce2 0.0000 0.2022 0.7500 1
Mg1 0.0000 0.4593 0.2500 1
```



[9]
First-principles (meta-GGA r2SCAN) data for Ce2Mg after structural relaxation, as listed in the Materials Project database.

Values from the calculation:
As for the crystal system: monoclinic. The relative energy among the computed polymorphs is 0.0 meV/atom. For the formation energy, the calculation gives 3 kJ/mol of formula units.

Cell and atoms, written as CIF:
```
data_Ce2Mg
_chemical_formula_sum 'Ce8 Mg4'
_symmetry_space_group_name_H-M 'C 1 2/c 1'
_symmetry_Int_Tables_number 15
_symmetry_space_group_name_Hall '-C 2yc'
_cell_length_a 9.6239
_cell_length_b 6.2585
_cell_length_c 6.6739
_cell_angle_alpha 90.00
_cell_angle_beta 124.09
_cell_angle_gamma 90.00
loop_
_atom_site_label
_atom_site_fract_x
_atom_site_fract_y
_atom_site_fract_z
_atom_site_occupancy
Ce1 0.1577 0.1245 0.2895 1
Mg1 0.0000 0.3782 0.7500 1
```



[10]
First-principles (meta-GGA r2SCAN) data for CeMg2Ni9 after structural relaxation, as listed in the Materials Project database.

Values from the calculation:
As for the crystal system: trigonal. For the formation energy, the calculation gives -272 kJ/mol of formula units.

Cell and atoms, written as CIF:
```
data_CeMg2Ni9
_chemical_formula_sum 'Ce3 Mg6 Ni27'
_symmetry_space_group_name_H-M 'R -3 m'
_symmetry_Int_Tables_number 166
_symmetry_space_group_name_Hall '-R 3 2"'
_cell_length_a 4.8138
_cell_length_b 4.8138
_cell_length_c 23.4751
_cell_angle_alpha 90.00
_cell_angle_beta 90.00
_cell_angle_gamma 120.00
loop_
_atom_site_label
_atom_site_fract_x
_atom_site_fract_y
_atom_site_fract_z
_atom_site_occupancy
Ce1 0.0000 0.0000 0.0000 1
Mg1 0.0000 0.0000 0.1445 1
Ni1 0.0000 0.0000 0.3341 1
Ni2 0.0000 0.0000 0.5000 1
Ni3 0.0031 0.5015 0.9153 1
```